(1)
! YFe2B2, optimized geometry, DFT r2SCAN; values from VASP
&SYSTEM
  ibrav = 0, nat = 5, ntyp = 3
/
ATOMIC_SPECIES
Y 88.91 Y.upf
Fe 55.84 Fe.upf
B 10.81 B.upf
ATOMIC_POSITIONS angstrom
Y 0.000 0.000 0.000
Fe 1.781 0.000 2.399
Fe 0.000 1.781 2.399
B 0.000 0.000 3.310
B 0.000 0.000 6.285
CELL_PARAMETERS angstrom
-1.781 1.781 4.798
1.781 -1.781 4.798
1.781 1.781 -4.798
! Formation energy: -0.320 eV/atom
! Total magnetic moment: 2.13 μB per formula unit
! Total DFT energy (no corrections): -13.09 eV per atom
! Space-group type: I4/mmm

---

(2)
! Ba2CdGe2O7, optimized geometry, DFT r2SCAN; values from VASP
&SYSTEM
  ibrav = 0, nat = 24, ntyp = 4
/
ATOMIC_SPECIES
Ba 137.33 Ba.upf
Cd 112.41 Cd.upf
Ge 72.64 Ge.upf
O 16.00 O.upf
ATOMIC_POSITIONS angstrom
Ba 1.435 2.910 0.039
Ba 2.910 7.256 5.519
Ba 5.780 1.435 5.519
Ba 7.256 5.780 0.039
Cd 0.000 0.000 2.779
Cd 4.345 4.345 2.779
Ge 1.193 5.538 3.072
Ge 3.153 1.193 2.486
Ge 5.538 7.498 2.486
Ge 7.498 3.153 3.072
O 0.000 4.345 3.696
O 0.668 6.980 3.942
O 1.214 5.560 1.345
O 1.711 0.668 1.617
O 2.634 5.014 3.942
O 3.131 1.214 4.214
O 3.677 2.634 1.617
O 4.345 0.000 1.863
O 5.014 6.056 1.617
O 5.560 7.476 4.214
O 6.056 3.677 3.942
O 6.980 8.022 1.617
O 7.476 3.131 1.345
O 8.022 1.711 3.942
CELL_PARAMETERS angstrom
8.691 0.000 0.000
0.000 8.691 0.000
0.000 0.000 5.558
! Formation energy: -2.282 eV/atom
! Total magnetic moment: 0.00 μB per formula unit
! Total DFT energy (no corrections): -14.17 eV per atom
! Space-group type: P-42_1m

---

(3)
! Te, optimized geometry, DFT r2SCAN; values from VASP
&SYSTEM
  ibrav = 0, nat = 4, ntyp = 1
/
ATOMIC_SPECIES
Te 127.60 Te.upf
ATOMIC_POSITIONS angstrom
Te 1.035 0.895 0.813
Te 1.700 5.080 2.267
Te 3.771 3.290 2.267
Te 4.436 7.474 0.813
CELL_PARAMETERS angstrom
5.471 0.000 0.000
0.000 8.369 0.000
0.000 0.000 3.080
! Excess energy over the best structure of this formula in the dataset: 0.096 eV/atom
! Formation energy: 0.096 eV/atom
! Total magnetic moment: 0.00 μB per formula unit
! Total DFT energy (no corrections): -25.32 eV per atom
! Space-group type: P2_12_12

---

(4)
! MgAl2O4, optimized geometry, DFT r2SCAN; values from VASP
&SYSTEM
  ibrav = 0, nat = 14, ntyp = 3
/
ATOMIC_SPECIES
Mg 24.30 Mg.upf
Al 26.98 Al.upf
O 16.00 O.upf
ATOMIC_POSITIONS angstrom
Mg -1.411 1.428 2.008
Mg 1.411 1.428 2.008
Al 0.000 0.000 0.000
Al 2.822 1.428 -1.079
Al 0.000 2.856 0.000
Al 0.000 1.428 5.094
O 0.000 0.004 1.884
O 1.328 1.428 -0.028
O 1.494 -1.428 3.988
O 2.822 0.004 2.132
O 0.000 2.852 1.884
O 1.328 4.284 0.028
O 1.494 1.428 4.043
O 2.822 2.852 2.132
CELL_PARAMETERS angstrom
-2.822 2.856 4.016
2.822 -2.856 4.016
2.822 2.856 -4.016
! Excess energy over the best structure of this formula in the dataset: 0.040 eV/atom
! Formation energy: -3.252 eV/atom
! Total magnetic moment: 0.00 μB per formula unit
! Total DFT energy (no corrections): -9.18 eV per atom
! Space-group type: Imma

---

(5)
! V4O3F9, optimized geometry, DFT r2SCAN; values from VASP
&SYSTEM
  ibrav = 0, nat = 32, ntyp = 3
/
ATOMIC_SPECIES
V 50.94 V.upf
O 16.00 O.upf
F 19.00 F.upf
ATOMIC_POSITIONS angstrom
V 0.000 0.000 0.000
V 2.613 1.729 8.406
V 2.755 1.556 2.071
V 5.386 3.298 10.481
V 5.053 3.095 4.101
V 5.195 0.198 12.611
V 7.568 1.722 14.717
V 5.249 0.029 6.141
O 3.656 4.070 4.899
O 4.065 2.500 2.783
O 4.058 -0.459 11.244
O 3.799 0.844 0.676
O 6.331 0.868 14.022
O 6.411 2.562 9.121
F 3.227 3.232 7.351
F 3.210 0.281 15.806
F 2.114 2.991 0.988
F 2.180 0.062 9.354
F 3.751 1.236 13.301
F 1.230 0.527 1.420
F 3.852 2.209 9.806
F 6.655 2.437 16.246
F 4.139 0.704 7.654
F 3.212 -0.027 3.118
F 5.730 1.687 11.559
F 4.599 1.614 5.240
F 7.202 3.371 13.743
F 6.171 3.738 5.592
F 6.685 1.113 6.875
F 6.637 2.084 3.549
F 9.204 2.738 15.376
F 9.147 3.800 11.903
CELL_PARAMETERS angstrom
5.070 0.000 0.000
2.527 4.629 0.000
2.512 -1.168 16.891
! Excess energy over the best structure of this formula in the dataset: 0.001 eV/atom
! Formation energy: -3.044 eV/atom
! Total magnetic moment: 5.00 μB per formula unit
! Total DFT energy (no corrections): -9.44 eV per atom
! Space-group type: P1

---

(6)
! Tc3Pt, optimized geometry, DFT r2SCAN; values from VASP
&SYSTEM
  ibrav = 0, nat = 8, ntyp = 2
/
ATOMIC_SPECIES
Tc 98.00 Tc.upf
Pt 195.08 Pt.upf
ATOMIC_POSITIONS angstrom
Tc 0.000 1.504 1.093
Tc -1.454 4.023 1.093
Tc 1.303 0.752 3.279
Tc 1.454 4.023 1.093
Tc 4.211 0.752 3.279
Tc 2.757 3.271 3.279
Pt 0.000 3.183 3.279
Pt 2.757 1.592 1.093
CELL_PARAMETERS angstrom
5.514 0.000 0.000
-2.757 4.775 0.000
0.000 0.000 4.372
! Formation energy: -0.310 eV/atom
! Total magnetic moment: 0.00 μB per formula unit
! Total DFT energy (no corrections): -32.66 eV per atom
! Space-group type: P6_3/mmc

---

| no. | volume (Å³ per cell) |
| --- | --- |
| 1 | 61 |
| 2 | 420 |
| 3 | 141 |
| 4 | 129 |
| 5 | 396 |
| 6 | 115 |